Computed, not measured: crystalline MgFe4O8 at its relaxed geometry at the GGA+U level of DFT.

Values from the calculation:
The value obtained for the total magnetic moment is 18.00 μB/f.u. Its electronic total energy is -81.5 eV/f.u. For the excess energy over the best structure of this formula in the dataset, the calculation gives 26 meV/atom. For the formation enthalpy at 0 K, the calculation gives -1.61 eV/atom.

Cell lengths 2.9934, 7.2708, 7.4632 Å; angles 80.85, 78.42, 78.11 degrees
Last column: nearest neighbours and their distance in Å.
Positions (direct):
Mg (0.3438, 0.1281, 0.1960)  5 O 2.05-2.15
Fe (0.6370, 0.1748, 0.5628)  5 O 1.92-2.01
Fe (0.1508, 0.5096, 0.2014)  4 O 1.88-2.00
Fe (0.8457, 0.4850, 0.8355)  6 O 1.95-2.13
Fe (0.3600, 0.8018, 0.4904)  4 O 1.93-2.01
O (0.8616, 0.6724, 0.6166)  3 Fe 1.93-1.95
O (0.4613, 0.3298, 0.7595)  3 Fe 1.92-1.98
O (0.5402, 0.6490, 0.2830)  3 Fe 1.93-1.97
O (0.1460, 0.3053, 0.4147)  3 Fe 2.00-2.01, 1 Mg 2.15
O (0.1740, 0.0117, 0.6521)  3 Fe 1.96-2.01
O (0.7948, 0.3220, 0.0999)  2 Mg 2.10, 3 Fe 2.13-2.20
O (0.8437, 0.9809, 0.3433)  2 Mg 2.05, 3 Fe 2.16-2.24
O (0.2192, 0.6201, 0.9536)  3 Fe 1.88-2.03

Computed, not measured: crystalline V2Co3TePb3O14 at its relaxed geometry at the GGA+U level of DFT.

Values from the calculation:
The value obtained for the total magnetic moment is 9.03 μB/f.u. Its electronic total energy is -146.9 eV/f.u. For the formation enthalpy at 0 K, the calculation gives -1.82 eV/atom.

Cell lengths 26.2322, 5.2815, 15.1919 Å; angles 89.98, 90.00, 90.00 degrees
Last column: nearest neighbours and their distance in Å.
Positions (direct):
V (0.8363, 0.5440, 0.1673)  4 O 1.71-1.76
V (0.8363, 0.4560, 0.8327)  4 O 1.71-1.76
V (0.3339, 0.4530, 0.3358)  4 O 1.71-1.77
V (0.3339, 0.5470, 0.6642)  4 O 1.71-1.77
V (0.1730, 0.5532, 0.1626)  4 O 1.70-1.77
V (0.1730, 0.4468, 0.8374)  4 O 1.70-1.77
V (0.6734, 0.4611, 0.3328)  4 O 1.72-1.76
V (0.6734, 0.5389, 0.6672)  4 O 1.72-1.76
V (0.5022, 0.5084, 0.1731)  4 O 1.72-1.76
V (0.5022, 0.4916, 0.8269)  4 O 1.72-1.76
V (0.0049, 0.4517, 0.3273)  4 O 1.72-1.76
V (0.0049, 0.5483, 0.6727)  4 O 1.72-1.76
Co (0.4248, 0.5000, 0.0000)  4 O 1.96-1.99
Co (0.9215, 0.5000, 0.5000)  4 O 1.95-1.98
Co (0.0840, 0.5000, 0.0000)  4 O 1.96-1.99
Co (0.5824, 0.5000, 0.5000)  4 O 1.96-2.04
Co (0.7470, 0.5000, 0.0000)  4 O 1.96-1.99
Co (0.2458, 0.5000, 0.5000)  4 O 1.96-1.99
Co (0.9622, 0.4992, 0.1187)  4 O 1.95-2.00
Co (0.9622, 0.5008, 0.8813)  4 O 1.95-2.00
Co (0.4593, 0.5153, 0.6178)  4 O 1.96-1.99
Co (0.4593, 0.4847, 0.3822)  4 O 1.96-1.99
Co (0.3017, 0.5065, 0.1192)  4 O 1.96-2.01
Co (0.3017, 0.4935, 0.8808)  4 O 1.96-2.01
Co (0.8006, 0.5043, 0.6187)  4 O 1.95-1.99
Co (0.8006, 0.4957, 0.3813)  4 O 1.95-1.99
Co (0.6270, 0.4900, 0.1262)  4 O 1.97-2.02
Co (0.6270, 0.5100, 0.8738)  4 O 1.97-2.02
Co (0.1300, 0.4884, 0.6249)  4 O 1.96-1.99
Co (0.1300, 0.5116, 0.3751)  4 O 1.96-1.99
Te (0.3455, 0.0000, 0.0000)  6 O 1.95-1.97
Te (0.8434, 0.0000, 0.5000)  6 O 1.95-1.97
Te (0.0020, 0.0000, 0.0000)  6 O 1.95-1.96
Te (0.5068, 0.0000, 0.5000)  6 O 1.96-1.97
Te (0.6624, 0.0000, 0.0000)  6 O 1.95-1.97
Te (0.1664, 0.0000, 0.5000)  6 O 1.95-1.96
Pb (0.5264, 0.0000, 0.0000)  6 O 2.53-2.73
Pb (0.0370, 0.0000, 0.5000)  2 O 2.34
Pb (0.2136, 0.0000, 0.0000)  2 O 2.38
Pb (0.7134, 0.0000, 0.5000)  2 O 2.33
Pb (0.8713, 0.0000, 0.0000)  2 O 2.35
Pb (0.3747, 0.0000, 0.5000)  4 O 2.39-2.54
Pb (0.9033, 0.9949, 0.2976)  2 O 2.37-2.41
Pb (0.9033, 0.0051, 0.7024)  2 O 2.37-2.41
Pb (0.4029, 0.9877, 0.7938)  3 O 2.39-2.66
Pb (0.4029, 0.0123, 0.2062)  3 O 2.39-2.66
Pb (0.2329, 0.0048, 0.3047)  2 O 2.37
Pb (0.2329, 0.9952, 0.6953)  2 O 2.37
Pb (0.7323, 0.0020, 0.8090)  3 O 2.35-2.56
Pb (0.7323, 0.9980, 0.1910)  3 O 2.35-2.56
Pb (0.5788, 0.0181, 0.3052)  3 O 2.36-2.57
Pb (0.5788, 0.9819, 0.6948)  3 O 2.36-2.57
Pb (0.0680, 0.0009, 0.8051)  2 O 2.36-2.38
Pb (0.0680, 0.9991, 0.1949)  2 O 2.36-2.38
O (0.2894, 0.2160, 0.0414)  1 Co 1.96, 1 Te 1.97
O (0.2894, 0.7840, 0.9586)  1 Co 1.96, 1 Te 1.97
O (0.3520, 0.2199, 0.8958)  1 Co 1.97, 1 Te 1.97
O (0.3520, 0.7801, 0.1042)  1 Co 1.97, 1 Te 1.97
O (0.3942, 0.2136, 0.0627)  1 Te 1.95, 1 Co 1.96
O (0.3942, 0.7864, 0.9373)  1 Te 1.95, 1 Co 1.96
O (0.7872, 0.2167, 0.5407)  1 Co 1.96, 1 Te 1.97
O (0.7872, 0.7833, 0.4593)  1 Co 1.96, 1 Te 1.97
O (0.8481, 0.2141, 0.3951)  1 Co 1.95, 1 Te 1.96
O (0.8481, 0.7859, 0.6049)  1 Co 1.95, 1 Te 1.96
O (0.8919, 0.2130, 0.5626)  1 Te 1.95, 1 Co 1.95
O (0.8919, 0.7870, 0.4374)  1 Te 1.95, 1 Co 1.95
O (0.9459, 0.2156, 0.0411)  1 Co 1.95, 1 Te 1.96
O (0.9459, 0.7844, 0.9589)  1 Co 1.95, 1 Te 1.96
O (0.0504, 0.2191, 0.0615)  1 Te 1.95, 1 Co 1.96
O (0.0504, 0.7809, 0.9385)  1 Te 1.95, 1 Co 1.96
O (0.0087, 0.2139, 0.8955)  1 Te 1.96, 1 Co 1.96
O (0.0087, 0.7861, 0.1045)  1 Te 1.96, 1 Co 1.96
O (0.4511, 0.2107, 0.5453)  1 Co 1.96, 1 Te 1.96
O (0.4511, 0.7893, 0.4547)  1 Co 1.96, 1 Te 1.96
O (0.5123, 0.2261, 0.3984)  1 Te 1.96, 1 Co 1.97
O (0.5123, 0.7739, 0.6016)  1 Te 1.96, 1 Co 1.97
O (0.5574, 0.2038, 0.5647)  1 Co 1.96, 1 Te 1.97
O (0.5574, 0.7962, 0.4353)  1 Co 1.96, 1 Te 1.97
O (0.6083, 0.2237, 0.0415)  1 Te 1.95, 1 Co 1.97
O (0.6083, 0.7763, 0.9585)  1 Te 1.95, 1 Co 1.97
O (0.6689, 0.2056, 0.8927)  1 Te 1.97, 1 Co 1.97
O (0.6689, 0.7944, 0.1073)  1 Te 1.97, 1 Co 1.97
O (0.7136, 0.2150, 0.0584)  1 Co 1.96, 1 Te 1.97
O (0.7136, 0.7850, 0.9416)  1 Co 1.96, 1 Te 1.97
O (0.1108, 0.2108, 0.5456)  1 Te 1.96, 1 Co 1.96
O (0.1108, 0.7892, 0.4544)  1 Te 1.96, 1 Co 1.96
O (0.1738, 0.2183, 0.3968)  1 Te 1.96, 1 Co 1.96
O (0.1738, 0.7817, 0.6032)  1 Te 1.96, 1 Co 1.96
O (0.2148, 0.2157, 0.5627)  1 Te 1.95, 1 Co 1.96
O (0.2148, 0.7843, 0.4373)  1 Te 1.95, 1 Co 1.96
O (0.8391, 0.2206, 0.1690)  1 V 1.71
O (0.8391, 0.7794, 0.8310)  1 V 1.71
O (0.8948, 0.6718, 0.1320)  1 V 1.76
O (0.8948, 0.3282, 0.8680)  1 V 1.76
O (0.7880, 0.6537, 0.0966)  1 V 1.76
O (0.7880, 0.3463, 0.9034)  1 V 1.76
O (0.8255, 0.6669, 0.2732)  1 V 1.76
O (0.8255, 0.3331, 0.7268)  1 V 1.76
O (0.3351, 0.7762, 0.3350)  1 V 1.71
O (0.3351, 0.2238, 0.6650)  1 V 1.71
O (0.2843, 0.3381, 0.4018)  1 V 1.75
O (0.2843, 0.6619, 0.5982)  1 V 1.75
O (0.3255, 0.3315, 0.2289)  1 V 1.76
O (0.3255, 0.6685, 0.7711)  1 V 1.76
O (0.3908, 0.3247, 0.3794)  1 V 1.77
O (0.3908, 0.6753, 0.6206)  1 V 1.77
O (0.1731, 0.2305, 0.1633)  1 V 1.70
O (0.1731, 0.7695, 0.8367)  1 V 1.70
O (0.1264, 0.6717, 0.0904)  1 V 1.76
O (0.1264, 0.3283, 0.9096)  1 V 1.76
O (0.1592, 0.6743, 0.2682)  1 V 1.76
O (0.1592, 0.3257, 0.7318)  1 V 1.76
O (0.2331, 0.6709, 0.1300)  1 V 1.77
O (0.2331, 0.3291, 0.8700)  1 V 1.77
O (0.6727, 0.7862, 0.3277)  1 V 1.72
O (0.6727, 0.2138, 0.6723)  1 V 1.72
O (0.6250, 0.3468, 0.4015)  1 V 1.75
O (0.6250, 0.6532, 0.5985)  1 V 1.75
O (0.6635, 0.3247, 0.2284)  1 V 1.76
O (0.6635, 0.6753, 0.7716)  1 V 1.76
O (0.7314, 0.3424, 0.3726)  1 V 1.75
O (0.7314, 0.6576, 0.6274)  1 V 1.75
O (0.5008, 0.1837, 0.1620)  1 V 1.72
O (0.5008, 0.8163, 0.8380)  1 V 1.72
O (0.4775, 0.6536, 0.0780)  1 V 1.76
O (0.4775, 0.3464, 0.9220)  1 V 1.76
O (0.4621, 0.6009, 0.2592)  1 V 1.75
O (0.4621, 0.3991, 0.7408)  1 V 1.75
O (0.5650, 0.6094, 0.1911)  1 V 1.75
O (0.5650, 0.3906, 0.8089)  1 V 1.75
O (0.0056, 0.7762, 0.3222)  1 V 1.72
O (0.0056, 0.2238, 0.6778)  1 V 1.72
O (0.9605, 0.3385, 0.4038)  1 V 1.75
O (0.9605, 0.6615, 0.5962)  1 V 1.75
O (0.9894, 0.3194, 0.2244)  1 V 1.76
O (0.9894, 0.6806, 0.7756)  1 V 1.76
O (0.0644, 0.3308, 0.3586)  1 V 1.75
O (0.0644, 0.6692, 0.6414)  1 V 1.75

Computed, not measured: crystalline MgV5Mo5O25 at its relaxed geometry at the GGA+U level of DFT.

Values from the calculation:
The value obtained for the total magnetic moment is 6.96 μB/f.u. Its electronic total energy is -261.0 eV/f.u. For the excess energy over the best structure of this formula in the dataset, the calculation gives 5 meV/atom. For the formation enthalpy at 0 K, the calculation gives -2.16 eV/atom.

Cell lengths 19.0569, 5.4907, 6.4374 Å; angles 99.62, 104.74, 47.10 degrees
Last column: nearest neighbours and their distance in Å.
Positions (direct):
Mg (0.1729, 0.6171, 0.2837)  5 O 1.99-2.21
V (0.0295, 0.1808, 0.6084)  1 O 1.68
V (0.2277, 0.1909, 0.6197)  1 O 1.72
V (0.4143, 0.9088, 0.9863)  1 O 1.66
V (0.5979, 0.9660, 0.9788)  1 O 1.71
V (0.7804, 0.0462, 0.9822)  6 O 1.94-2.11
Mo (0.9744, 0.1003, 0.0080)  5 O 1.82-1.99
Mo (0.1827, 0.0828, 0.0117)  1 O 1.78
Mo (0.4289, 0.1250, 0.5792)  3 O 1.74-1.93
Mo (0.6359, 0.1108, 0.5787)  2 O 1.74-1.80
Mo (0.8360, 0.1239, 0.5786)  3 O 1.76-1.92
O (0.0304, 0.0614, 0.2982)  1 Mo 1.87, 1 V 2.00, 1 Mg 2.09
O (0.0518, 0.1668, 0.9205)  1 V 1.95, 2 Mo 1.96-2.13
O (0.1465, 0.1233, 0.6770)  2 V 1.95-1.96, 1 Mo 2.09
O (0.0848, 0.6104, 0.0094)  2 Mo 1.99-2.12, 1 Mg 2.12
O (0.2244, 0.1635, 0.3144)  1 V 1.93, 1 Mg 1.99, 1 Mo 2.01
O (0.1549, 0.6139, 0.6085)  1 V 1.72
O (0.2832, 0.0537, 0.9336)  2 V 1.98-2.03, 1 Mo 2.00
O (0.3636, 0.0133, 0.6648)  1 Mo 1.93, 2 V 2.00-2.04
O (0.2313, 0.6948, 0.1017)  1 Mo 1.78
O (0.4186, 0.0446, 0.2919)  1 Mo 1.82, 1 V 1.99
O (0.3344, 0.5555, 0.5697)  1 Mo 1.74
O (0.4763, 0.0458, 0.9153)  2 V 1.94-1.98, 1 Mo 2.11
O (0.5484, 0.0628, 0.6489)  2 Mo 1.99-2.02, 1 V 2.09
O (0.4944, 0.4975, 0.0032)  1 V 1.66
O (0.6228, 0.0222, 0.2966)  1 Mo 1.80, 1 V 2.00
O (0.5512, 0.5446, 0.5763)  1 Mo 1.74
O (0.6745, 0.0492, 0.9112)  2 V 1.94-1.96, 1 Mo 2.08
O (0.7546, 0.0413, 0.6428)  2 Mo 1.96-2.03, 1 V 2.11
O (0.6819, 0.5420, 0.9777)  1 V 1.71
O (0.8121, 0.0902, 0.2968)  1 Mo 1.76
O (0.7444, 0.5593, 0.6056)  1 Mo 1.77
O (0.8825, 0.0375, 0.9274)  1 Mo 1.94, 1 V 2.03
O (0.9459, 0.0929, 0.6503)  1 Mo 1.92, 1 V 2.04
O (0.8756, 0.5509, 0.0119)  1 Mo 1.82, 1 V 2.00
O (0.9413, 0.5951, 0.5730)  1 V 1.68

Q: Which value of formation enthalpy at 0 K does entry 2 give?
A: -1.82 eV/atom